(1)
{"formula": "SmCu2Si2", "functional": "PBE", "state": "relaxed", "lattice_angstrom": [[3.1433, 3.5465, 3.2519], [-0.6591, 5.6955, -0.4004], [-3.2391, -4.7096, 0.6011]], "species": ["Sm", "Cu", "Cu", "Si", "Si"], "frac_coords": [[0.0000, 0.0000, 0.0000], [0.7500, 0.2500, 0.5000], [0.2500, 0.7500, 0.5000], [0.6192, 0.6192, 0.0000], [0.3808, 0.3808, 0.0000]], "spacegroup": "I4/mmm, No. 139", "crystal_system": "tetragonal", "e_form_ev_per_atom": -0.57}

***

(2)
{"formula": "Te2MoWS2", "functional": "PBE", "state": "relaxed", "lattice_angstrom": [[1.6803, -2.9103, 0.0000], [1.6803, 2.9103, 0.0000], [0.0000, 0.0000, 39.8583]], "species": ["Te", "Te", "Te", "Te", "Mo", "Mo", "W", "W", "S", "S", "S", "S"], "frac_coords": [[0.0000, 0.0000, 0.7068], [0.3333, 0.6667, 0.4209], [0.3333, 0.6667, 0.5157], [0.0000, 0.0000, 0.6114], [0.0000, 0.0000, 0.4683], [0.3333, 0.6667, 0.2816], [0.0000, 0.0000, 0.0939], [0.3333, 0.6667, 0.6591], [0.0000, 0.0000, 0.3196], [0.3333, 0.6667, 0.0558], [0.3333, 0.6667, 0.1320], [0.0000, 0.0000, 0.2437]], "polymorph_energy_ev_per_atom": 0.0362, "spacegroup": "P3m1, No. 156", "crystal_system": "trigonal", "e_form_ev_per_atom": -0.60}

***

(3)
{"formula": "Rb2LiSn4", "functional": "PBE", "state": "relaxed", "lattice_angstrom": [[-8.4180, 3.5318, 3.6522], [-4.7639, -9.1976, -10.8370], [3.9975, -10.6368, 9.9615]], "species": ["Rb", "Rb", "Rb", "Rb", "Rb", "Rb", "Rb", "Rb", "Rb", "Rb", "Rb", "Rb", "Rb", "Rb", "Rb", "Rb", "Li", "Li", "Li", "Li", "Li", "Li", "Li", "Li", "Sn", "Sn", "Sn", "Sn", "Sn", "Sn", "Sn", "Sn", "Sn", "Sn", "Sn", "Sn", "Sn", "Sn", "Sn", "Sn", "Sn", "Sn", "Sn", "Sn", "Sn", "Sn", "Sn", "Sn", "Sn", "Sn", "Sn", "Sn", "Sn", "Sn", "Sn", "Sn"], "frac_coords": [[0.6583, 0.4630, 0.9362], [0.8415, 0.0425, 0.0657], [0.0307, 0.6489, 0.8836], [0.3926, 0.0898, 0.5659], [0.9890, 0.8840, 0.6147], [0.1585, 0.9575, 0.9343], [0.5070, 0.1334, 0.8717], [0.4930, 0.8666, 0.1283], [0.8950, 0.5924, 0.5637], [0.5368, 0.3972, 0.6276], [0.6074, 0.9102, 0.4341], [0.1050, 0.4076, 0.4363], [0.4632, 0.6028, 0.3724], [0.3417, 0.5370, 0.0638], [0.9693, 0.3511, 0.1164], [0.0110, 0.1160, 0.3853], [0.7075, 0.2462, 0.4552], [0.2022, 0.9532, 0.2510], [0.7117, 0.7530, 0.9526], [0.2925, 0.7538, 0.5448], [0.2883, 0.2470, 0.0474], [0.2099, 0.4604, 0.7528], [0.7901, 0.5396, 0.2472], [0.7978, 0.0468, 0.7490], [0.0800, 0.6483, 0.3607], [0.8688, 0.1388, 0.5991], [0.4947, 0.9027, 0.6933], [0.1312, 0.8612, 0.4009], [0.2394, 0.1480, 0.1961], [0.2591, 0.7665, 0.2605], [0.4934, 0.1325, 0.1131], [0.7491, 0.6875, 0.1388], [0.8883, 0.8854, 0.2417], [0.3487, 0.6018, 0.6437], [0.7409, 0.2335, 0.7395], [0.7542, 0.2385, 0.2691], [0.0244, 0.8000, 0.1012], [0.5066, 0.8675, 0.8869], [0.3445, 0.3618, 0.2321], [0.6030, 0.7418, 0.6105], [0.9874, 0.3929, 0.8538], [0.5053, 0.0973, 0.3067], [0.3970, 0.2582, 0.3895], [0.9756, 0.2000, 0.8988], [0.8248, 0.7357, 0.3526], [0.1752, 0.2643, 0.6474], [0.6555, 0.6382, 0.7679], [0.9200, 0.3517, 0.6393], [0.2509, 0.3125, 0.8612], [0.6513, 0.3982, 0.3563], [0.0126, 0.6071, 0.1462], [0.2458, 0.7615, 0.7309], [0.1117, 0.1146, 0.7583], [0.7606, 0.8520, 0.8039], [0.5903, 0.3469, 0.1446], [0.4097, 0.6531, 0.8554]], "spacegroup": "P-1, No. 2", "crystal_system": "triclinic", "e_form_ev_per_atom": -0.29}

***

(4)
{"formula": "MgV2S4", "functional": "PBE", "state": "relaxed", "lattice_angstrom": [[-0.9784, -0.0594, 3.0797], [3.0552, -0.7550, -0.7355], [4.3616, 15.9991, 1.6941]], "species": ["Mg", "V", "V", "S", "S", "S", "S"], "frac_coords": [[0.3333, 0.6667, 0.7500], [0.9981, 0.0019, 0.9948], [0.9981, 0.0019, 0.5052], [0.3344, 0.6656, 0.9069], [0.3344, 0.6656, 0.5931], [0.6676, 0.3324, 0.0815], [0.6676, 0.3324, 0.4185]], "polymorph_energy_ev_per_atom": 0.2159, "spacegroup": "Amm2, No. 38", "crystal_system": "orthorhombic", "e_form_ev_per_atom": -1.06}

***

(5)
{"formula": "Ba6Mg7F26", "functional": "PBE", "state": "relaxed", "lattice_angstrom": [[-2.9607, 6.1573, 7.6929], [2.9607, -6.1573, 7.6929], [2.9607, 6.1573, -7.6929]], "species": ["Ba", "Ba", "Ba", "Ba", "Ba", "Ba", "Mg", "Mg", "Mg", "Mg", "Mg", "Mg", "Mg", "F", "F", "F", "F", "F", "F", "F", "F", "F", "F", "F", "F", "F", "F", "F", "F", "F", "F", "F", "F", "F", "F", "F", "F", "F", "F"], "frac_coords": [[0.6472, 0.1472, 0.5000], [0.3528, 0.8528, 0.5000], [0.3874, 0.6491, 0.7383], [0.9108, 0.6491, 0.2617], [0.0892, 0.3509, 0.7383], [0.6126, 0.3509, 0.2617], [0.0000, 0.2526, 0.2526], [0.2685, 0.0000, 0.2685], [0.0000, 0.7474, 0.7474], [0.7315, 0.0000, 0.7315], [0.2205, 0.2205, 0.0000], [0.7795, 0.7795, 0.0000], [0.5000, 0.5000, 0.0000], [0.1287, 0.0105, 0.6548], [0.8713, 0.5261, 0.8818], [0.6443, 0.9895, 0.1182], [0.3557, 0.4739, 0.3452], [0.8713, 0.9895, 0.3452], [0.1287, 0.4739, 0.1182], [0.3557, 0.0105, 0.8818], [0.6443, 0.5261, 0.6548], [0.6119, 0.7492, 0.3611], [0.3881, 0.7492, 0.1373], [0.6119, 0.2508, 0.8627], [0.3881, 0.2508, 0.6389], [0.8366, 0.7443, 0.5808], [0.1634, 0.7443, 0.9077], [0.8366, 0.2557, 0.0923], [0.1634, 0.2557, 0.4192], [0.9109, 0.9109, 0.0000], [0.0891, 0.0891, 0.0000], [0.6295, 0.6295, 0.0000], [0.9125, 0.4125, 0.5000], [0.8439, 0.1259, 0.7180], [0.1561, 0.8741, 0.2820], [0.5920, 0.8741, 0.7180], [0.4080, 0.1259, 0.2820], [0.0875, 0.5875, 0.5000], [0.3705, 0.3705, 0.0000]], "spacegroup": "Immm, No. 71", "crystal_system": "orthorhombic", "e_form_ev_per_atom": -3.97}

***

(6)
{"formula": "CeSnAu", "functional": "PBE", "state": "relaxed", "lattice_angstrom": [[-2.8059, 2.1270, -3.2740], [-1.9769, -2.4843, 3.6106], [-0.1726, 6.3189, 4.2533]], "species": ["Ce", "Ce", "Sn", "Sn", "Au", "Au"], "frac_coords": [[0.0000, 0.0000, 0.5287], [0.0000, 0.0000, 0.0287], [0.3333, 0.6667, 0.3023], [0.6667, 0.3333, 0.8023], [0.6667, 0.3333, 0.2136], [0.3333, 0.6667, 0.7136]], "spacegroup": "P6_3mc, No. 186", "crystal_system": "hexagonal", "e_form_ev_per_atom": -0.74}

***

(7)
{"formula": "Na2TiZnP2SO12", "functional": "PBE", "state": "relaxed", "lattice_angstrom": [[-2.5653, 8.1200, -2.1891], [-3.3838, -6.9676, -4.2221], [-16.1568, -1.0914, 14.8854]], "species": ["Na", "Na", "Na", "Na", "Na", "Na", "Na", "Na", "Na", "Na", "Na", "Na", "Ti", "Ti", "Ti", "Ti", "Ti", "Ti", "Zn", "Zn", "Zn", "Zn", "Zn", "Zn", "P", "P", "P", "P", "P", "P", "P", "P", "P", "P", "P", "P", "S", "S", "S", "S", "S", "S", "O", "O", "O", "O", "O", "O", "O", "O", "O", "O", "O", "O", "O", "O", "O", "O", "O", "O", "O", "O", "O", "O", "O", "O", "O", "O", "O", "O", "O", "O", "O", "O", "O", "O", "O", "O", "O", "O", "O", "O", "O", "O", "O", "O", "O", "O", "O", "O", "O", "O", "O", "O", "O", "O", "O", "O", "O", "O", "O", "O", "O", "O", "O", "O", "O", "O", "O", "O", "O", "O", "O", "O"], "frac_coords": [[0.9912, 0.6322, 0.2432], [0.6410, 0.6322, 0.7432], [0.6579, 0.9655, 0.5765], [0.3076, 0.9655, 0.0765], [0.3245, 0.2988, 0.9098], [0.9743, 0.2988, 0.4098], [0.0078, 0.9743, 0.4940], [0.9666, 0.9743, 0.9940], [0.6744, 0.3076, 0.8274], [0.6332, 0.3076, 0.3274], [0.3411, 0.6410, 0.1607], [0.2999, 0.6410, 0.6607], [0.9987, 0.0120, 0.6476], [0.0133, 0.0120, 0.1476], [0.6654, 0.3454, 0.9810], [0.6800, 0.3454, 0.4810], [0.3320, 0.6787, 0.3143], [0.3467, 0.6787, 0.8143], [0.9976, 0.9960, 0.3498], [0.9984, 0.9960, 0.8498], [0.6643, 0.3294, 0.6831], [0.6651, 0.3294, 0.1831], [0.3309, 0.6627, 0.0165], [0.3318, 0.6627, 0.5165], [0.2969, 0.0044, 0.2514], [0.0048, 0.2959, 0.2543], [0.2911, 0.2959, 0.7543], [0.7075, 0.0044, 0.7514], [0.9636, 0.3377, 0.5847], [0.6715, 0.6292, 0.5876], [0.9578, 0.6292, 0.0876], [0.3742, 0.3377, 0.0847], [0.6303, 0.6711, 0.9180], [0.3381, 0.9626, 0.9210], [0.6244, 0.9626, 0.4210], [0.0408, 0.6711, 0.4180], [0.7020, 0.7118, 0.2500], [0.0097, 0.7118, 0.7500], [0.3687, 0.0451, 0.5833], [0.6764, 0.0451, 0.0833], [0.0354, 0.3784, 0.9167], [0.3431, 0.3784, 0.4167], [0.2055, 0.0203, 0.3067], [0.8048, 0.7881, 0.3055], [0.9823, 0.1978, 0.3133], [0.2155, 0.1978, 0.8133], [0.9833, 0.7881, 0.8055], [0.8148, 0.0203, 0.8067], [0.7939, 0.9697, 0.6926], [0.1657, 0.1888, 0.6987], [0.0264, 0.8196, 0.6952], [0.7932, 0.8196, 0.1952], [0.0231, 0.1888, 0.1987], [0.1758, 0.9697, 0.1926], [0.8722, 0.3536, 0.6400], [0.4715, 0.1215, 0.6388], [0.6490, 0.5311, 0.6466], [0.8822, 0.5311, 0.1466], [0.6500, 0.1215, 0.1388], [0.4815, 0.3536, 0.1400], [0.4606, 0.3030, 0.0259], [0.8323, 0.5221, 0.0320], [0.6930, 0.1529, 0.0285], [0.4599, 0.1529, 0.5285], [0.6898, 0.5221, 0.5320], [0.8424, 0.3030, 0.5259], [0.5388, 0.6870, 0.9733], [0.1381, 0.4548, 0.9722], [0.3156, 0.8645, 0.9799], [0.5488, 0.8645, 0.4799], [0.3166, 0.4548, 0.4722], [0.1482, 0.6870, 0.4733], [0.1272, 0.6363, 0.3593], [0.4990, 0.8554, 0.3653], [0.3597, 0.4863, 0.3619], [0.1266, 0.4863, 0.8619], [0.3564, 0.8554, 0.8653], [0.5091, 0.6363, 0.8593], [0.0067, 0.8209, 0.4098], [0.8115, 0.9971, 0.4122], [0.1895, 0.2009, 0.4114], [0.0114, 0.2009, 0.9114], [0.1856, 0.9971, 0.9122], [0.8142, 0.8209, 0.9098], [0.9669, 0.1581, 0.5891], [0.1934, 0.0342, 0.5866], [0.8461, 0.8124, 0.5888], [0.9663, 0.8124, 0.0888], [0.8408, 0.0342, 0.0866], [0.1912, 0.1581, 0.0891], [0.6733, 0.1543, 0.7431], [0.4781, 0.3304, 0.7455], [0.8562, 0.5343, 0.7447], [0.6781, 0.5343, 0.2447], [0.8523, 0.3304, 0.2455], [0.4809, 0.1543, 0.2431], [0.6336, 0.4915, 0.9224], [0.8600, 0.3675, 0.9199], [0.5128, 0.1458, 0.9222], [0.6330, 0.1458, 0.4222], [0.5075, 0.3675, 0.4199], [0.8579, 0.4915, 0.4224], [0.3400, 0.4876, 0.0765], [0.1448, 0.6637, 0.0789], [0.5229, 0.8676, 0.0780], [0.3448, 0.8676, 0.5780], [0.5189, 0.6637, 0.5789], [0.1476, 0.4876, 0.5765], [0.3003, 0.8248, 0.2557], [0.5267, 0.7009, 0.2532], [0.1794, 0.4791, 0.2555], [0.2997, 0.4791, 0.7555], [0.1742, 0.7009, 0.7532], [0.5245, 0.8248, 0.7557]], "e_form_ev_per_atom": -2.53}

***

(8)
{"formula": "Pr3Au", "functional": "PBE", "state": "relaxed", "lattice_angstrom": [[2.3378, -5.6855, -1.0484], [-3.9664, -4.7109, 0.9818], [-0.1855, 5.3753, -3.1562]], "species": ["Pr", "Pr", "Pr", "Au"], "frac_coords": [[0.7500, 0.2500, 0.5000], [0.2500, 0.7500, 0.5000], [0.5000, 0.5000, 0.0000], [0.0000, 0.0000, 0.0000]], "polymorph_energy_ev_per_atom": 0.0154, "spacegroup": "I4/mmm, No. 139", "crystal_system": "tetragonal", "e_form_ev_per_atom": -0.20}

***

(9)
{"formula": "Ti2InC", "functional": "PBE", "state": "relaxed", "lattice_angstrom": [[-1.5733, -2.7250, 0.0000], [-1.5733, 2.7250, 0.0000], [0.0000, 0.0000, -14.2172]], "species": ["Ti", "Ti", "Ti", "Ti", "In", "In", "C", "C"], "frac_coords": [[0.3333, 0.6667, 0.9218], [0.3333, 0.6667, 0.5782], [0.6667, 0.3333, 0.4218], [0.6667, 0.3333, 0.0782], [0.3333, 0.6667, 0.2500], [0.6667, 0.3333, 0.7500], [0.0000, 0.0000, 0.0000], [0.0000, 0.0000, 0.5000]], "spacegroup": "P6_3/mmc, No. 194", "crystal_system": "hexagonal", "e_form_ev_per_atom": -0.67}

***

(10)
{"formula": "Re2PbO6", "functional": "PBE", "state": "relaxed", "lattice_angstrom": [[4.8585, -5.3010, 0.0000], [4.8585, 5.3010, 0.0000], [-0.9255, 0.0000, 7.1309]], "species": ["Re", "Re", "Re", "Re", "Re", "Re", "Pb", "Pb", "Pb", "O", "O", "O", "O", "O", "O", "O", "O", "O", "O", "O", "O", "O", "O", "O", "O", "O", "O"], "frac_coords": [[0.8474, 0.1526, 0.5000], [0.1526, 0.8474, 0.5000], [0.1526, 0.5000, 0.8474], [0.5000, 0.1526, 0.8474], [0.8474, 0.5000, 0.1526], [0.5000, 0.8474, 0.1526], [0.3191, 0.3191, 0.3191], [0.6809, 0.6809, 0.6809], [0.0000, 0.0000, 0.0000], [0.3657, 0.3657, 0.8295], [0.0000, 0.7008, 0.2992], [0.9122, 0.9122, 0.6213], [0.0000, 0.2992, 0.7008], [0.8295, 0.3657, 0.3657], [0.2992, 0.7008, 0.0000], [0.6213, 0.9122, 0.9122], [0.0878, 0.0878, 0.3787], [0.0878, 0.3787, 0.0878], [0.2992, 0.0000, 0.7008], [0.1705, 0.6343, 0.6343], [0.7008, 0.0000, 0.2992], [0.3787, 0.0878, 0.0878], [0.6343, 0.6343, 0.1705], [0.3657, 0.8295, 0.3657], [0.7008, 0.2992, 0.0000], [0.9122, 0.6213, 0.9122], [0.6343, 0.1705, 0.6343]], "spacegroup": "R-3m, No. 166", "crystal_system": "trigonal", "e_form_ev_per_atom": -1.92}

***

(11)
{"formula": "Li3Ti2P3O12", "functional": "PBE", "state": "relaxed", "lattice_angstrom": [[8.4608, 0.0000, 0.0000], [4.2236, 7.3374, 0.0000], [4.2295, 2.4121, 7.7195]], "species": ["Li", "Li", "Li", "Li", "Li", "Li", "Ti", "Ti", "Ti", "Ti", "P", "P", "P", "P", "P", "P", "O", "O", "O", "O", "O", "O", "O", "O", "O", "O", "O", "O", "O", "O", "O", "O", "O", "O", "O", "O", "O", "O", "O", "O"], "frac_coords": [[0.2426, 0.5743, 0.3503], [0.4324, 0.1616, 0.6502], [0.0775, 0.7313, 0.8661], [0.9281, 0.2680, 0.1354], [0.6696, 0.9224, 0.1383], [0.7301, 0.3331, 0.8607], [0.1422, 0.1384, 0.5631], [0.3432, 0.3461, 0.9587], [0.6418, 0.6579, 0.0405], [0.8481, 0.8537, 0.4359], [0.0443, 0.4575, 0.7489], [0.5449, 0.2517, 0.2491], [0.2507, 0.9592, 0.2500], [0.7484, 0.0433, 0.7510], [0.4598, 0.7460, 0.7520], [0.9569, 0.5395, 0.2484], [0.2015, 0.1568, 0.1096], [0.1508, 0.5336, 0.0985], [0.0164, 0.6080, 0.5759], [0.1486, 0.2569, 0.7228], [0.1274, 0.8549, 0.2781], [0.5393, 0.2064, 0.1036], [0.3926, 0.2059, 0.4239], [0.1656, 0.4965, 0.8048], [0.5030, 0.4674, 0.1994], [0.2021, 0.9948, 0.4205], [0.7493, 0.1299, 0.2652], [0.4659, 0.8370, 0.1943], [0.5322, 0.1706, 0.8038], [0.2562, 0.8685, 0.7333], [0.7916, 0.0096, 0.5836], [0.4951, 0.5308, 0.8080], [0.8290, 0.5090, 0.1910], [0.6112, 0.8020, 0.5795], [0.4795, 0.7883, 0.8911], [0.8708, 0.1433, 0.7331], [0.8563, 0.7443, 0.2678], [0.9967, 0.3895, 0.4161], [0.8493, 0.4574, 0.8971], [0.7919, 0.8508, 0.9006]], "polymorph_energy_ev_per_atom": 0.0119, "spacegroup": "P1, No. 1", "crystal_system": "triclinic", "e_form_ev_per_atom": -2.87}

***

(12)
{"formula": "HfMg6AlO8", "functional": "PBE", "state": "relaxed", "lattice_angstrom": [[8.9658, 0.0000, 0.0000], [0.0000, 4.3484, 0.0000], [0.0000, 0.0000, 4.3484]], "species": ["Hf", "Mg", "Mg", "Mg", "Mg", "Mg", "Mg", "Al", "O", "O", "O", "O", "O", "O", "O", "O"], "frac_coords": [[0.0000, 0.5000, 0.5000], [0.5000, 0.0000, 0.0000], [0.5000, 0.5000, 0.5000], [0.2630, 0.0000, 0.5000], [0.7370, 0.0000, 0.5000], [0.2630, 0.5000, 0.0000], [0.7370, 0.5000, 0.0000], [0.0000, 0.0000, 0.0000], [0.2711, 0.0000, 0.0000], [0.7289, 0.0000, 0.0000], [0.2565, 0.5000, 0.5000], [0.7435, 0.5000, 0.5000], [0.0000, 0.0000, 0.5000], [0.5000, 0.0000, 0.5000], [0.0000, 0.5000, 0.0000], [0.5000, 0.5000, 0.0000]], "polymorph_energy_ev_per_atom": 0.0630, "spacegroup": "P4/mmm, No. 123", "crystal_system": "tetragonal", "e_form_ev_per_atom": -2.66}